Te8Rh3 | PBE | relaxed

Computed properties:
- Energy relative to the elements: -0.357 eV per atom

Lattice parameters (Å, degrees): 9.3015 9.3015 11.1159 90.00 90.00 120.00
Space group R-3 (No. 148, hexagonal axes)
Inequivalent atoms, fractional coordinates:
Te: 0.0000 0.0000 0.1309 [6 per cell]
Te: 0.0009 0.7487 0.6224 [18 per cell]
Rh: 0.0000 0.5000 0.5000 [9 per cell]